## Gd2Al6Si4Au (PBE)

Data for Gd2Al6Si4Au after structural relaxation.

```
data_Gd2Al6Si4Au
_chemical_formula_sum 'Gd6 Al18 Si12 Au3'
_cell_length_a 4.2354
_cell_length_b 4.2354
_cell_length_c 50.2842
_cell_angle_alpha 90.00
_cell_angle_beta 90.00
_cell_angle_gamma 120.00
_symmetry_space_group_name_H-M 'R -3 m'
_symmetry_Int_Tables_number 166
_symmetry_space_group_name_Hall '-R 3 2"'
loop_
_atom_site_label
_atom_site_fract_x
_atom_site_fract_y
_atom_site_fract_z
Gd1 0.0000 0.0000 0.0656
Al1 0.0000 0.0000 0.1833
Al2 0.0000 0.0000 0.3146
Al3 0.0000 0.0000 0.4476
Si1 0.0000 0.0000 0.2339
Si2 0.0000 0.0000 0.3646
Au1 0.0000 0.0000 0.5000
```

Calculated values
ρ, g cm⁻³: 5.010

***

## NdAl4Ge2Au (PBE)

Data for NdAl4Ge2Au after structural relaxation.

```
data_NdAl4Ge2Au
_chemical_formula_sum 'Nd3 Al12 Ge6 Au3'
_cell_length_a 4.2761
_cell_length_b 4.2761
_cell_length_c 31.5171
_cell_angle_alpha 90.00
_cell_angle_beta 90.00
_cell_angle_gamma 120.00
_symmetry_space_group_name_H-M 'R -3 m'
_symmetry_Int_Tables_number 166
_symmetry_space_group_name_Hall '-R 3 2"'
loop_
_atom_site_label
_atom_site_fract_x
_atom_site_fract_y
_atom_site_fract_z
Nd1 0.0000 0.0000 0.0000
Al1 0.0000 0.0000 0.1919
Al2 0.0000 0.0000 0.4172
Ge1 0.0000 0.0000 0.2756
Au1 0.0000 0.0000 0.5000
```

Calculated values
ρ, g cm⁻³: 5.933

***

## Hf2Al3Au (PBE)

Data for Hf2Al3Au after structural relaxation.

```
data_Hf2Al3Au
_chemical_formula_sum 'Hf6 Al9 Au3'
_cell_length_a 5.3244
_cell_length_b 5.3244
_cell_length_c 12.8559
_cell_angle_alpha 90.00
_cell_angle_beta 90.00
_cell_angle_gamma 120.00
_symmetry_space_group_name_H-M 'R -3 m'
_symmetry_Int_Tables_number 166
_symmetry_space_group_name_Hall '-R 3 2"'
loop_
_atom_site_label
_atom_site_fract_x
_atom_site_fract_y
_atom_site_fract_z
Hf1 0.0000 0.0000 0.1228
Al1 0.0000 0.5000 0.0000
Au1 0.0000 0.0000 0.5000
```

Calculated values
ρ, g cm⁻³: 10.021

***

| no. | formation energy from the elements (eV/atom) |
| --- | --- |
| 1 | -0.40 |
| 2 | -0.44 |
| 3 | -0.52 |